Computed, not measured: Li9Mn2Co5O16 after structural relaxation at the PBE with a Hubbard U level of DFT.

abc: 6.617 6.617 15.314
angles: 92.34 92.34 25.56
Fractional positions:
Li: 0.000 0.000 0.000
Li: 0.061 0.061 0.184
Li: 0.188 0.188 0.562
Li: 0.317 0.317 0.937
Li: 0.439 0.439 0.314
Li: 0.561 0.561 0.686
Li: 0.683 0.683 0.063
Li: 0.812 0.812 0.438
Li: 0.939 0.939 0.816
Mn: 0.381 0.381 0.122
Mn: 0.619 0.619 0.878
Co: 0.126 0.126 0.375
Co: 0.250 0.250 0.751
Co: 0.500 0.500 0.500
Co: 0.750 0.750 0.249
Co: 0.874 0.874 0.625
O: 0.027 0.027 0.588
O: 0.099 0.099 0.791
O: 0.154 0.154 0.958
O: 0.230 0.230 0.161
O: 0.278 0.278 0.337
O: 0.348 0.348 0.537
O: 0.400 0.400 0.712
O: 0.482 0.482 0.902
O: 0.518 0.518 0.098
O: 0.600 0.600 0.288
O: 0.652 0.652 0.463
O: 0.722 0.722 0.663
O: 0.770 0.770 0.839
O: 0.846 0.846 0.042
O: 0.901 0.901 0.209
O: 0.973 0.973 0.412

Summary:
**DFT formation energy**: -1.84 eV per atom
**ΔE to the lowest computed polymorph**: 0.020 eV per atom
**DFT total energy**: -186.71 eV per cell
**Calculated density**: 4.2 g/cm³
**Space group**: C2/m



Computed, not measured: Li3V5O12 after structural relaxation at the PBE with a Hubbard U level of DFT.

abc: 8.904 9.274 15.226
angles: 90.00 124.66 90.00
Fractional positions:
Li: 0.001 0.224 0.181
Li: 0.001 0.276 0.681
Li: 0.282 0.011 0.847
Li: 0.282 0.489 0.347
Li: 0.375 0.087 0.302
Li: 0.375 0.413 0.802
Li: 0.625 0.587 0.198
Li: 0.625 0.913 0.698
Li: 0.718 0.511 0.653
Li: 0.718 0.989 0.153
Li: 0.999 0.724 0.319
Li: 0.999 0.776 0.819
V: 0.030 0.615 0.641
V: 0.030 0.885 0.141
V: 0.128 0.031 0.382
V: 0.128 0.469 0.882
V: 0.264 0.118 0.649
V: 0.264 0.382 0.149
V: 0.358 0.024 0.109
V: 0.358 0.476 0.609
V: 0.453 0.747 0.990
V: 0.453 0.753 0.490
V: 0.547 0.247 0.510
V: 0.547 0.253 0.010
V: 0.642 0.524 0.391
V: 0.642 0.976 0.891
V: 0.736 0.618 0.851
V: 0.736 0.882 0.351
V: 0.872 0.531 0.118
V: 0.872 0.969 0.618
V: 0.970 0.115 0.859
V: 0.970 0.385 0.359
O: 0.012 0.716 0.187
O: 0.012 0.784 0.687
O: 0.118 0.013 0.244
O: 0.118 0.487 0.744
O: 0.120 0.077 0.692
O: 0.120 0.423 0.192
O: 0.161 0.074 0.519
O: 0.161 0.426 0.019
O: 0.164 0.610 0.595
O: 0.164 0.890 0.095
O: 0.194 0.054 0.950
O: 0.194 0.446 0.450
O: 0.237 0.669 0.928
O: 0.237 0.831 0.428
O: 0.284 0.192 0.161
O: 0.284 0.308 0.661
O: 0.375 0.120 0.439
O: 0.375 0.380 0.939
O: 0.456 0.656 0.393
O: 0.456 0.844 0.893
O: 0.471 0.026 0.728
O: 0.471 0.474 0.228
O: 0.491 0.636 0.590
O: 0.491 0.864 0.090
O: 0.509 0.136 0.910
O: 0.509 0.364 0.410
O: 0.529 0.526 0.772
O: 0.529 0.974 0.272
O: 0.544 0.156 0.107
O: 0.544 0.344 0.607
O: 0.625 0.620 0.061
O: 0.625 0.880 0.561
O: 0.716 0.692 0.339
O: 0.716 0.808 0.839
O: 0.763 0.169 0.572
O: 0.763 0.331 0.072
O: 0.806 0.554 0.550
O: 0.806 0.946 0.050
O: 0.836 0.110 0.905
O: 0.836 0.390 0.405
O: 0.839 0.574 0.981
O: 0.839 0.926 0.481
O: 0.880 0.577 0.808
O: 0.880 0.923 0.308
O: 0.882 0.513 0.256
O: 0.882 0.987 0.756
O: 0.988 0.216 0.313
O: 0.988 0.284 0.813

Summary:
**DFT formation energy**: -2.46 eV per atom
**ΔE to the lowest computed polymorph**: 0.000 eV per atom
**DFT total energy**: -571.93 eV per cell
**Calculated density**: 3.0 g/cm³
**Space group**: P2_1/c



Computed, not measured: Li2MnCr3O8 after structural relaxation at the PBE with a Hubbard U level of DFT.

abc: 8.384 8.384 8.349
angles: 90.00 90.00 90.52
Fractional positions:
Li: 0.001 0.751 0.875
Li: 0.249 0.999 0.625
Li: 0.250 0.499 0.123
Li: 0.499 0.250 0.877
Li: 0.501 0.750 0.377
Li: 0.750 0.501 0.623
Li: 0.751 0.001 0.125
Li: 0.999 0.249 0.375
Mn: 0.125 0.125 0.000
Mn: 0.375 0.625 0.750
Mn: 0.625 0.375 0.250
Mn: 0.875 0.875 0.500
Cr: 0.123 0.626 0.502
Cr: 0.123 0.877 0.250
Cr: 0.125 0.375 0.749
Cr: 0.374 0.877 0.998
Cr: 0.375 0.125 0.251
Cr: 0.375 0.375 0.500
Cr: 0.625 0.625 0.000
Cr: 0.625 0.875 0.751
Cr: 0.626 0.123 0.498
Cr: 0.875 0.625 0.249
Cr: 0.877 0.123 0.750
Cr: 0.877 0.374 0.002
O: 0.104 0.637 0.259
O: 0.106 0.865 0.491
O: 0.115 0.360 0.985
O: 0.119 0.142 0.767
O: 0.133 0.387 0.521
O: 0.135 0.894 0.009
O: 0.142 0.119 0.233
O: 0.143 0.609 0.747
O: 0.360 0.115 0.015
O: 0.363 0.392 0.741
O: 0.363 0.615 0.518
O: 0.363 0.896 0.241
O: 0.385 0.637 0.982
O: 0.387 0.133 0.479
O: 0.391 0.857 0.753
O: 0.392 0.363 0.259
O: 0.608 0.637 0.759
O: 0.609 0.143 0.253
O: 0.613 0.867 0.979
O: 0.615 0.363 0.482
O: 0.637 0.104 0.741
O: 0.637 0.385 0.018
O: 0.637 0.608 0.241
O: 0.640 0.885 0.515
O: 0.857 0.391 0.247
O: 0.858 0.881 0.733
O: 0.865 0.106 0.509
O: 0.867 0.613 0.021
O: 0.881 0.858 0.267
O: 0.885 0.640 0.485
O: 0.894 0.135 0.991
O: 0.896 0.363 0.759

Summary:
**DFT formation energy**: -2.22 eV per atom
**ΔE to the lowest computed polymorph**: 0.023 eV per atom
**DFT total energy**: -398.01 eV per cell
**Calculated density**: 4.0 g/cm³
**Space group**: C222_1



Computed, not measured: Li2FeP4O12 after structural relaxation at the PBE with a Hubbard U level of DFT.

abc: 7.587 9.448 8.651
angles: 90.00 122.54 90.00
Fractional positions:
Li: 0.229 0.160 0.354
Li: 0.229 0.340 0.854
Li: 0.771 0.660 0.146
Li: 0.771 0.840 0.646
Fe: 0.000 0.000 0.500
Fe: 0.000 0.500 0.000
P: 0.212 0.717 0.382
P: 0.212 0.783 0.882
P: 0.454 0.594 0.768
P: 0.454 0.906 0.268
P: 0.546 0.094 0.732
P: 0.546 0.406 0.232
P: 0.788 0.217 0.118
P: 0.788 0.283 0.618
O: 0.061 0.612 0.242
O: 0.061 0.888 0.742
O: 0.110 0.667 0.925
O: 0.110 0.833 0.425
O: 0.312 0.113 0.612
O: 0.312 0.387 0.112
O: 0.356 0.042 0.268
O: 0.356 0.458 0.768
O: 0.359 0.727 0.816
O: 0.359 0.773 0.316
O: 0.388 0.634 0.562
O: 0.388 0.866 0.062
O: 0.612 0.134 0.938
O: 0.612 0.366 0.438
O: 0.641 0.227 0.684
O: 0.641 0.273 0.184
O: 0.644 0.542 0.232
O: 0.644 0.958 0.732
O: 0.688 0.613 0.888
O: 0.688 0.887 0.388
O: 0.890 0.167 0.575
O: 0.890 0.333 0.075
O: 0.939 0.112 0.258
O: 0.939 0.388 0.758

Summary:
**DFT formation energy**: -2.55 eV per atom
**ΔE to the lowest computed polymorph**: 0.037 eV per atom
**DFT total energy**: -262.41 eV per cell
**Calculated density**: 2.4 g/cm³
**Space group**: P2_1/c



Computed, not measured: MgZn2Mo3O8 after structural relaxation at the PBE with a Hubbard U level of DFT.

abc: 6.550 6.550 5.487
angles: 107.06 107.06 56.72
Fractional positions:
Mg: 0.000 0.000 0.000
Zn: 0.222 0.222 0.143
Zn: 0.778 0.778 0.857
Mo: 0.241 0.759 0.500
Mo: 0.500 0.500 0.000
Mo: 0.759 0.241 0.500
O: 0.106 0.106 0.765
O: 0.148 0.648 0.776
O: 0.352 0.852 0.224
O: 0.396 0.396 0.257
O: 0.604 0.604 0.743
O: 0.648 0.148 0.776
O: 0.852 0.352 0.224
O: 0.894 0.894 0.235

Summary:
**DFT formation energy**: -1.83 eV per atom
**ΔE to the lowest computed polymorph**: 0.107 eV per atom
**DFT total energy**: -86.69 eV per cell
**Calculated density**: 5.1 g/cm³
**Space group**: C2/m



Computed, not measured: ZnCo2P2O9 after structural relaxation at the PBE with a Hubbard U level of DFT.

abc: 6.182 7.177 14.322
angles: 89.32 89.88 89.54
Fractional positions:
Zn: 0.249 0.099 0.222
Zn: 0.249 0.397 0.728
Zn: 0.751 0.603 0.272
Zn: 0.751 0.901 0.778
Co: 0.000 0.000 0.000
Co: 0.000 0.500 0.500
Co: 0.250 0.650 0.122
Co: 0.252 0.852 0.620
Co: 0.500 0.000 0.000
Co: 0.500 0.500 0.500
Co: 0.748 0.148 0.380
Co: 0.750 0.350 0.878
P: 0.247 0.136 0.429
P: 0.250 0.364 0.931
P: 0.250 0.617 0.301
P: 0.250 0.887 0.802
P: 0.750 0.113 0.198
P: 0.750 0.383 0.699
P: 0.750 0.636 0.069
P: 0.753 0.864 0.571
O: 0.036 0.604 0.359
O: 0.037 0.894 0.862
O: 0.060 0.127 0.358
O: 0.060 0.368 0.861
O: 0.236 0.633 0.544
O: 0.243 0.329 0.479
O: 0.249 0.166 0.980
O: 0.249 0.512 0.003
O: 0.250 0.802 0.242
O: 0.251 0.049 0.729
O: 0.251 0.461 0.225
O: 0.251 0.703 0.744
O: 0.251 0.861 0.045
O: 0.252 0.982 0.501
O: 0.440 0.367 0.861
O: 0.442 0.133 0.361
O: 0.463 0.602 0.360
O: 0.464 0.893 0.861
O: 0.536 0.107 0.139
O: 0.537 0.398 0.640
O: 0.558 0.867 0.639
O: 0.560 0.633 0.139
O: 0.748 0.018 0.499
O: 0.749 0.139 0.955
O: 0.749 0.297 0.256
O: 0.749 0.539 0.775
O: 0.749 0.951 0.271
O: 0.750 0.198 0.758
O: 0.751 0.488 0.997
O: 0.751 0.834 0.020
O: 0.757 0.671 0.521
O: 0.764 0.367 0.456
O: 0.940 0.632 0.139
O: 0.940 0.873 0.642
O: 0.963 0.106 0.138
O: 0.964 0.396 0.641

Summary:
**DFT formation energy**: -1.97 eV per atom
**DFT total energy**: -355.95 eV per cell
**Calculated density**: 4.1 g/cm³
**Space group**: P-1



Computed, not measured: Li9Mn7O16 after structural relaxation at the PBE with a Hubbard U level of DFT.

abc: 5.094 7.840 7.883
angles: 85.76 82.43 73.67
Fractional positions:
Li: 0.000 0.000 0.000
Li: 0.479 0.577 0.297
Li: 0.491 0.054 0.833
Li: 0.491 0.818 0.556
Li: 0.497 0.315 0.060
Li: 0.503 0.685 0.940
Li: 0.509 0.182 0.444
Li: 0.509 0.946 0.167
Li: 0.521 0.423 0.703
Mn: 0.000 0.500 0.500
Mn: 0.006 0.119 0.632
Mn: 0.010 0.366 0.882
Mn: 0.012 0.244 0.250
Mn: 0.988 0.756 0.750
Mn: 0.990 0.634 0.118
Mn: 0.994 0.881 0.368
O: 0.204 0.676 0.519
O: 0.211 0.922 0.762
O: 0.225 0.777 0.167
O: 0.231 0.021 0.420
O: 0.234 0.529 0.911
O: 0.235 0.403 0.295
O: 0.238 0.269 0.669
O: 0.247 0.160 0.047
O: 0.753 0.840 0.953
O: 0.762 0.731 0.331
O: 0.765 0.597 0.705
O: 0.766 0.471 0.089
O: 0.769 0.979 0.580
O: 0.775 0.223 0.833
O: 0.789 0.078 0.238
O: 0.796 0.324 0.481

Summary:
**DFT formation energy**: -2.14 eV per atom
**ΔE to the lowest computed polymorph**: 0.006 eV per atom
**DFT total energy**: -206.25 eV per cell
**Calculated density**: 3.9 g/cm³
**Space group**: P-1



Computed, not measured: Sr2La2CrNiO8 after structural relaxation at the PBE with a Hubbard U level of DFT.

abc: 5.499 6.893 6.893
angles: 46.82 90.00 90.00
Fractional positions:
Sr: 0.000 0.000 0.000
Sr: 0.500 0.212 0.212
La: 0.000 0.716 0.716
La: 0.500 0.495 0.495
Cr: 0.000 0.355 0.355
Ni: 0.500 0.858 0.858
O: 0.000 0.195 0.195
O: 0.000 0.527 0.527
O: 0.252 0.101 0.609
O: 0.252 0.609 0.101
O: 0.500 0.020 0.020
O: 0.500 0.678 0.678
O: 0.748 0.101 0.609
O: 0.748 0.609 0.101

Summary:
**DFT formation energy**: -2.90 eV per atom
**DFT total energy**: -98.85 eV per cell
**Calculated density**: 6.0 g/cm³
**Space group**: Amm2



Computed, not measured: Li3Cr5O10 after structural relaxation at the PBE with a Hubbard U level of DFT.

abc: 5.130 5.970 6.641
angles: 103.59 97.60 106.68
Fractional positions:
Li: 0.000 0.000 0.000
Li: 0.203 0.401 0.402
Li: 0.797 0.599 0.598
Cr: 0.000 0.500 0.000
Cr: 0.203 0.901 0.404
Cr: 0.399 0.296 0.806
Cr: 0.601 0.704 0.194
Cr: 0.797 0.099 0.596
O: 0.089 0.423 0.711
O: 0.095 0.971 0.686
O: 0.279 0.817 0.116
O: 0.290 0.373 0.088
O: 0.492 0.230 0.521
O: 0.508 0.770 0.479
O: 0.710 0.627 0.912
O: 0.721 0.183 0.884
O: 0.905 0.029 0.314
O: 0.911 0.577 0.289

Summary:
**DFT formation energy**: -2.24 eV per atom
**DFT total energy**: -126.95 eV per cell
**Calculated density**: 4.0 g/cm³
**Space group**: P-1



Please write out number 9 again, unchanged.
Computed, not measured: Li3Cr5O10 after structural relaxation at the PBE with a Hubbard U level of DFT.

abc: 5.130 5.970 6.641
angles: 103.59 97.60 106.68
Fractional positions:
Li: 0.000 0.000 0.000
Li: 0.203 0.401 0.402
Li: 0.797 0.599 0.598
Cr: 0.000 0.500 0.000
Cr: 0.203 0.901 0.404
Cr: 0.399 0.296 0.806
Cr: 0.601 0.704 0.194
Cr: 0.797 0.099 0.596
O: 0.089 0.423 0.711
O: 0.095 0.971 0.686
O: 0.279 0.817 0.116
O: 0.290 0.373 0.088
O: 0.492 0.230 0.521
O: 0.508 0.770 0.479
O: 0.710 0.627 0.912
O: 0.721 0.183 0.884
O: 0.905 0.029 0.314
O: 0.911 0.577 0.289

Summary:
**DFT formation energy**: -2.24 eV per atom
**DFT total energy**: -126.95 eV per cell
**Calculated density**: 4.0 g/cm³
**Space group**: P-1